Entry 1:
Density functional theory data (meta-GGA r2SCAN) for Tl6TeO12 after structural relaxation.

abc: 6.4449 6.4449 6.4449
angles: 97.80 97.80 97.80
Fractional positions:
Tl  0.1068  0.8040  0.6355
Tl  0.1960  0.3645  0.8932
Tl  0.3645  0.8932  0.1960
Tl  0.6355  0.1068  0.8040
Tl  0.8040  0.6355  0.1068
Tl  0.8932  0.1960  0.3645
Te  0.5000  0.5000  0.5000
O  0.0781  0.8991  0.3254
O  0.1009  0.6746  0.9219
O  0.2057  0.4277  0.5327
O  0.3254  0.0781  0.8991
O  0.4277  0.5327  0.2057
O  0.4673  0.7943  0.5723
O  0.5327  0.2057  0.4277
O  0.5723  0.4673  0.7943
O  0.6746  0.9219  0.1009
O  0.7943  0.5723  0.4673
O  0.8991  0.3254  0.0781
O  0.9219  0.1009  0.6746

Results
ρ   9.89 g/cm3
Symmetry   R-3
Energy of formation from the pure elements   -17.266 eV/f.u.

---

Entry 2:
Density functional theory data (meta-GGA r2SCAN) for Tl2Te2O5 after structural relaxation.

abc: 7.2478 12.0646 8.5331
angles: 90.00 114.70 90.00
Fractional positions:
Tl  0.0177  0.2122  0.2826
Tl  0.0177  0.2878  0.7826
Tl  0.2825  0.5576  0.0167
Tl  0.2825  0.9424  0.5167
Tl  0.7175  0.0576  0.4833
Tl  0.7175  0.4424  0.9833
Tl  0.9823  0.7122  0.2174
Tl  0.9823  0.7878  0.7174
Te  0.2917  0.0296  0.0117
Te  0.2917  0.4704  0.5117
Te  0.4372  0.2025  0.7087
Te  0.4372  0.2975  0.2087
Te  0.5628  0.7025  0.7913
Te  0.5628  0.7975  0.2913
Te  0.7083  0.5296  0.4883
Te  0.7083  0.9704  0.9883
O  0.2266  0.1727  0.1006
O  0.2266  0.3273  0.6006
O  0.2277  0.1279  0.7416
O  0.2277  0.3721  0.2416
O  0.3761  0.1515  0.4847
O  0.3761  0.3485  0.9847
O  0.3882  0.5429  0.7334
O  0.3882  0.9571  0.2334
O  0.4479  0.5951  0.4330
O  0.4479  0.9049  0.9330
O  0.5521  0.0951  0.0670
O  0.5521  0.4049  0.5670
O  0.6118  0.0429  0.7666
O  0.6118  0.4571  0.2666
O  0.6239  0.6515  0.0153
O  0.6239  0.8485  0.5153
O  0.7723  0.6279  0.7584
O  0.7723  0.8721  0.2584
O  0.7734  0.6727  0.3994
O  0.7734  0.8273  0.8994

Results
ρ   7.29 g/cm3
Symmetry   P2_1/c
Energy of formation from the pure elements   -9.632 eV/f.u.

---

no.,total magnetic moment (Bohr magnetons per cell)
1,0.00
2,0.00